# 1
Computed, not measured: a relaxed Na5FeO4 crystal at the PBE with a Hubbard U level of DFT.

Results
Raw total energy: -370.16 eV per cell
ΔE to the lowest computed polymorph: 0.000 eV/atom
E_form: -1.6400 eV/atom
E (MP2020): -5.1274 eV/atom

Cell and atoms, written as POSCAR:
```
Na5FeO4
1.0
10.351 0.000 0.000
0.000 10.606 0.000
0.000 0.000 10.727
O Na Fe
32 40 8
direct
0.994 0.949 0.241
0.725 0.255 0.764
0.506 0.449 0.759
0.225 0.745 0.736
0.225 0.245 0.764
0.775 0.255 0.264
0.502 0.260 0.981
0.775 0.755 0.236
0.275 0.245 0.264
0.006 0.551 0.741
0.998 0.260 0.481
0.506 0.949 0.741
0.006 0.051 0.759
0.498 0.240 0.481
0.002 0.240 0.981
0.230 0.023 0.950
0.275 0.745 0.236
0.498 0.740 0.019
0.502 0.760 0.519
0.230 0.523 0.550
0.270 0.023 0.450
0.002 0.740 0.519
0.994 0.449 0.259
0.730 0.477 0.950
0.494 0.551 0.241
0.770 0.977 0.050
0.730 0.977 0.550
0.725 0.755 0.736
0.770 0.477 0.450
0.270 0.523 0.050
0.494 0.051 0.259
0.998 0.760 0.019
0.589 0.623 0.854
0.411 0.877 0.354
0.852 0.886 0.397
0.135 0.847 0.382
0.164 0.393 0.387
0.164 0.893 0.113
0.336 0.393 0.887
0.900 0.379 0.839
0.836 0.607 0.613
0.865 0.153 0.618
0.411 0.377 0.146
0.336 0.893 0.613
0.365 0.847 0.882
0.100 0.121 0.339
0.852 0.386 0.103
0.352 0.614 0.397
0.148 0.114 0.603
0.365 0.347 0.618
0.148 0.614 0.897
0.648 0.386 0.603
0.664 0.607 0.113
0.600 0.879 0.161
0.089 0.377 0.646
0.900 0.879 0.661
0.352 0.114 0.103
0.600 0.379 0.339
0.589 0.123 0.646
0.635 0.153 0.118
0.635 0.653 0.382
0.836 0.107 0.887
0.664 0.107 0.387
0.911 0.123 0.146
0.089 0.877 0.854
0.648 0.886 0.897
0.911 0.623 0.354
0.400 0.621 0.661
0.865 0.653 0.882
0.100 0.621 0.161
0.135 0.347 0.118
0.400 0.121 0.839
0.116 0.146 0.873
0.616 0.854 0.627
0.116 0.646 0.627
0.616 0.354 0.873
0.384 0.146 0.373
0.384 0.646 0.127
0.884 0.854 0.127
0.884 0.354 0.373
```

# 2
Computed, not measured: a relaxed Na6Fe3P4O16 crystal at the PBE with a Hubbard U level of DFT.

Results
Raw total energy: -371.70 eV per cell
E_form: -2.3946 eV/atom
E (MP2020): -7.0210 eV/atom

Cell and atoms, written as POSCAR:
```
Na6Fe3P4O16
1.0
-7.380 -5.889 -5.834
-1.699 -8.951 -6.339
-2.357 -5.824 8.777
Fe P Na O
6 8 12 32
direct
0.477 0.977 0.481
0.322 0.336 0.204
0.977 0.477 0.981
0.642 0.664 0.741
0.336 0.322 0.704
0.664 0.642 0.241
0.172 0.702 0.042
0.793 0.789 0.730
0.702 0.172 0.542
0.184 0.209 0.731
0.789 0.793 0.230
0.209 0.184 0.231
0.396 0.762 0.488
0.762 0.396 0.988
0.517 0.013 0.967
0.000 0.111 0.273
0.151 0.718 0.566
0.718 0.151 0.066
0.914 0.926 0.817
0.453 0.548 0.276
0.111 0.000 0.773
0.013 0.517 0.467
0.287 0.872 0.030
0.926 0.914 0.317
0.548 0.453 0.776
0.872 0.287 0.530
0.698 0.255 0.422
0.710 0.776 0.340
0.776 0.710 0.840
0.291 0.200 0.337
0.597 0.599 0.902
0.472 0.661 0.622
0.464 0.356 0.600
0.773 0.722 0.114
0.025 0.650 0.712
0.661 0.472 0.122
0.722 0.773 0.614
0.200 0.291 0.837
0.226 0.257 0.114
0.228 0.811 0.435
0.811 0.228 0.935
0.257 0.226 0.614
0.118 0.843 0.145
0.599 0.597 0.402
0.801 0.966 0.510
0.638 0.023 0.766
0.979 0.335 0.263
0.956 0.346 0.706
0.335 0.979 0.763
0.979 0.287 0.991
0.287 0.979 0.491
0.843 0.118 0.645
0.650 0.025 0.212
0.966 0.801 0.010
0.023 0.638 0.266
0.356 0.464 0.100
0.346 0.956 0.206
0.255 0.698 0.922
```

# 3
Computed, not measured: a relaxed Na7Fe4P6O24 crystal at the PBE with a Hubbard U level of DFT.

Results
Raw total energy: -538.19 eV per cell
E_form: -2.4448 eV/atom
E (MP2020): -7.1855 eV/atom

Cell and atoms, written as POSCAR:
```
Na7Fe4P6O24
1.0
7.198 -6.792 0.000
7.198 6.792 0.000
0.789 0.000 9.865
O Fe Na P
48 8 14 12
direct
0.108 0.125 0.332
0.788 0.098 0.922
0.385 0.969 0.612
0.188 0.586 0.194
0.078 0.212 0.902
0.969 0.612 0.385
0.668 0.892 0.875
0.612 0.385 0.969
0.422 0.598 0.288
0.414 0.806 0.812
0.125 0.332 0.108
0.902 0.078 0.212
0.375 0.392 0.168
0.306 0.914 0.312
0.806 0.812 0.414
0.625 0.608 0.832
0.098 0.922 0.788
0.892 0.875 0.668
0.888 0.531 0.115
0.168 0.375 0.392
0.885 0.112 0.469
0.031 0.388 0.615
0.586 0.194 0.188
0.312 0.306 0.914
0.812 0.414 0.806
0.086 0.688 0.694
0.392 0.168 0.375
0.615 0.031 0.388
0.402 0.712 0.578
0.194 0.188 0.586
0.712 0.578 0.402
0.531 0.115 0.888
0.922 0.788 0.098
0.832 0.625 0.608
0.578 0.402 0.712
0.608 0.832 0.625
0.914 0.312 0.306
0.112 0.469 0.885
0.332 0.108 0.125
0.388 0.615 0.031
0.688 0.694 0.086
0.598 0.288 0.422
0.115 0.888 0.531
0.212 0.902 0.078
0.694 0.086 0.688
0.469 0.885 0.112
0.875 0.668 0.892
0.288 0.422 0.598
0.750 0.972 0.528
0.028 0.472 0.250
0.972 0.528 0.750
0.250 0.250 0.250
0.528 0.750 0.972
0.750 0.750 0.750
0.472 0.250 0.028
0.250 0.028 0.472
0.500 0.500 0.500
0.033 0.849 0.283
0.717 0.967 0.151
0.533 0.783 0.349
0.849 0.283 0.033
0.783 0.349 0.533
0.967 0.151 0.717
0.217 0.651 0.467
0.349 0.533 0.783
0.467 0.217 0.651
0.651 0.467 0.217
0.283 0.033 0.849
0.000 0.000 0.000
0.151 0.717 0.967
0.673 0.051 0.844
0.449 0.827 0.656
0.173 0.344 0.551
0.327 0.949 0.156
0.551 0.173 0.344
0.827 0.656 0.449
0.949 0.156 0.327
0.051 0.844 0.673
0.844 0.673 0.051
0.156 0.327 0.949
0.344 0.551 0.173
0.656 0.449 0.827
```

# 4
Computed, not measured: a relaxed Na3Fe2P3O12 crystal at the PBE with a Hubbard U level of DFT.

Results
Raw total energy: -265.30 eV per cell
ΔE to the lowest computed polymorph: 0.010 eV/atom
E_form: -2.4440 eV/atom
E (MP2020): -7.2702 eV/atom

Cell and atoms, written as POSCAR:
```
Na3Fe2P3O12
1.0
7.939 -4.423 0.000
7.939 4.423 0.000
5.475 0.000 7.253
O Na P Fe
24 6 6 4
direct
0.628 0.012 0.783
0.761 0.484 0.850
0.721 0.914 0.093
0.439 0.543 0.813
0.187 0.561 0.457
0.372 0.988 0.217
0.543 0.813 0.439
0.561 0.457 0.187
0.484 0.850 0.761
0.279 0.086 0.907
0.907 0.279 0.086
0.150 0.239 0.516
0.813 0.439 0.543
0.914 0.093 0.721
0.783 0.628 0.012
0.093 0.721 0.914
0.012 0.783 0.628
0.086 0.907 0.279
0.239 0.516 0.150
0.457 0.187 0.561
0.988 0.217 0.372
0.516 0.150 0.239
0.217 0.372 0.988
0.850 0.761 0.484
0.250 0.910 0.659
0.750 0.090 0.341
0.910 0.659 0.250
0.341 0.750 0.090
0.659 0.250 0.910
0.090 0.341 0.750
0.751 0.465 0.037
0.465 0.037 0.751
0.963 0.249 0.535
0.037 0.751 0.465
0.249 0.535 0.963
0.535 0.963 0.249
0.650 0.650 0.650
0.149 0.149 0.149
0.851 0.851 0.851
0.350 0.350 0.350
```

# 5
Computed, not measured: a relaxed NaFeP2O7 crystal at the PBE with a Hubbard U level of DFT.

Results
Raw total energy: -151.50 eV per cell
E_form: -2.5053 eV/atom
E (MP2020): -7.5285 eV/atom
Maximum piezoelectric response: 0.59 C/m2

Cell and atoms, written as POSCAR:
```
NaFeP2O7
1.0
-0.792 -3.961 2.783
1.781 -2.338 -6.538
7.961 -0.054 2.188
Na O P Fe
2 14 4 2
direct
0.228 0.737 0.915
0.772 0.263 0.415
0.842 0.073 0.163
0.158 0.927 0.663
0.158 0.453 0.061
0.408 0.091 0.914
0.842 0.547 0.561
0.264 0.502 0.364
0.430 0.280 0.647
0.570 0.720 0.147
0.592 0.909 0.414
0.582 0.366 0.187
0.736 0.498 0.864
0.418 0.634 0.687
0.967 0.173 0.809
0.033 0.827 0.309
0.385 0.496 0.194
0.615 0.504 0.694
0.769 0.887 0.265
0.231 0.113 0.765
0.781 0.265 0.999
0.219 0.735 0.499
```

# 6
Computed, not measured: a relaxed Na3Fe2P3O12 crystal at the PBE with a Hubbard U level of DFT.

Results
Raw total energy: -528.28 eV per cell
ΔE to the lowest computed polymorph: 0.039 eV/atom
E_form: -2.4152 eV/atom
E (MP2020): -7.2413 eV/atom

Cell and atoms, written as POSCAR:
```
Na3Fe2P3O12
1.0
-2.813 4.221 7.479
5.522 -4.927 4.858
14.490 3.753 3.333
P O Na Fe
12 48 12 8
direct
0.747 0.532 0.000
0.107 0.029 0.855
0.117 0.744 0.650
0.617 0.256 0.850
0.893 0.971 0.145
0.393 0.029 0.355
0.383 0.744 0.150
0.607 0.971 0.645
0.253 0.468 0.000
0.753 0.532 0.500
0.883 0.256 0.350
0.247 0.468 0.500
0.916 0.806 0.136
0.217 0.685 0.172
0.852 0.707 0.440
0.050 0.849 0.954
0.717 0.315 0.328
0.652 0.358 0.072
0.416 0.194 0.364
0.482 0.575 0.232
0.091 0.909 0.657
0.148 0.293 0.560
0.849 0.552 0.075
0.930 0.201 0.461
0.783 0.315 0.828
0.487 0.071 0.258
0.726 0.980 0.167
0.833 0.524 0.916
0.409 0.909 0.157
0.167 0.476 0.084
0.987 0.929 0.242
0.430 0.799 0.039
0.283 0.685 0.672
0.774 0.980 0.667
0.333 0.476 0.584
0.070 0.799 0.539
0.982 0.425 0.268
0.274 0.020 0.833
0.648 0.707 0.940
0.950 0.151 0.046
0.450 0.849 0.454
0.667 0.524 0.416
0.151 0.448 0.925
0.018 0.575 0.732
0.348 0.642 0.928
0.513 0.929 0.742
0.584 0.806 0.636
0.909 0.091 0.343
0.518 0.425 0.768
0.152 0.642 0.428
0.570 0.201 0.961
0.084 0.194 0.864
0.013 0.071 0.758
0.352 0.293 0.060
0.848 0.358 0.572
0.550 0.151 0.546
0.349 0.448 0.425
0.651 0.552 0.575
0.591 0.091 0.843
0.226 0.020 0.333
0.281 0.361 0.821
0.209 0.048 0.171
0.971 0.370 0.693
0.781 0.639 0.679
0.529 0.370 0.193
0.719 0.639 0.179
0.291 0.048 0.671
0.791 0.952 0.829
0.471 0.630 0.807
0.029 0.630 0.307
0.219 0.361 0.321
0.709 0.952 0.329
0.962 0.362 0.900
0.538 0.362 0.400
0.038 0.638 0.100
0.539 0.134 0.103
0.039 0.866 0.397
0.462 0.638 0.600
0.461 0.866 0.897
0.961 0.134 0.603
```

# 7
Computed, not measured: a relaxed Na4Fe2P3O12 crystal at the PBE with a Hubbard U level of DFT.

Results
Raw total energy: -272.82 eV per cell
E_form: -2.4437 eV/atom
E (MP2020): -7.1031 eV/atom

Cell and atoms, written as POSCAR:
```
Na4Fe2P3O12
1.0
7.611 -4.531 0.000
7.611 4.531 0.000
4.914 0.000 7.369
O Na P Fe
24 8 6 4
direct
0.985 0.385 0.203
0.485 0.703 0.885
0.885 0.485 0.703
0.067 0.272 0.912
0.728 0.088 0.933
0.115 0.515 0.297
0.088 0.933 0.728
0.615 0.797 0.015
0.912 0.067 0.272
0.297 0.115 0.515
0.015 0.615 0.797
0.772 0.567 0.412
0.933 0.728 0.088
0.272 0.912 0.067
0.797 0.015 0.615
0.588 0.228 0.433
0.228 0.433 0.588
0.385 0.203 0.985
0.703 0.885 0.485
0.567 0.412 0.772
0.203 0.985 0.385
0.433 0.588 0.228
0.515 0.297 0.115
0.412 0.772 0.567
0.115 0.750 0.385
0.885 0.250 0.615
0.615 0.885 0.250
0.385 0.115 0.750
0.000 0.000 0.000
0.750 0.385 0.115
0.250 0.615 0.885
0.500 0.500 0.500
0.952 0.548 0.250
0.048 0.452 0.750
0.548 0.250 0.952
0.750 0.048 0.452
0.452 0.750 0.048
0.250 0.952 0.548
0.351 0.351 0.351
0.149 0.149 0.149
0.649 0.649 0.649
0.851 0.851 0.851
```

- Look up the E_form of the seventh one.
  -2.4437 eV/atom